# Zn15B6Rh17 | Materials Project | meta-GGA r2SCAN | relaxed
# energy: -605.755 eV per formula unit
# ΔH_f (0 K): -0.47 eV per atom
data_Zn15B6Rh17
_chemical_formula_sum 'Zn15 B6 Rh17'
_space_group_name_H-M_alt 'P 1'
_space_group_IT_number 1
_space_group_name_Hall 'P 1'
_cell_length_a 2.8555
_cell_length_b 11.0750
_cell_length_c 14.9159
_cell_angle_alpha 90.00
_cell_angle_beta 90.00
_cell_angle_gamma 90.00
loop_
_atom_site_label
_atom_site_fract_x
_atom_site_fract_y
_atom_site_fract_z
Rh1 0.0000 0.7590 0.1076
Rh2 0.0000 0.1228 0.5282
Rh3 0.0000 0.3768 0.4721
Rh4 0.0000 0.5000 0.8837
Rh5 0.0000 0.3310 0.2813
Rh6 0.0000 0.5000 0.6432
Rh7 0.0000 0.0000 0.8641
Rh8 0.0000 0.7502 0.8910
Rh9 0.0000 0.6690 0.2813
Rh10 0.0000 0.1735 0.7168
Rh11 0.0000 0.8265 0.7168
Rh12 0.0000 0.0000 0.3556
Rh13 0.0000 0.2498 0.8910
Rh14 0.0000 0.2410 0.1076
Rh15 0.0000 0.5000 0.1338
Rh16 0.0000 0.8772 0.5282
Rh17 0.0000 0.6232 0.4721
Zn1 0.5000 0.1166 0.9926
Zn2 0.5000 0.3837 0.0028
Zn3 0.5000 0.0000 0.6494
Zn4 0.5000 0.8677 0.2367
Zn5 0.5000 0.3751 0.7702
Zn6 0.5000 0.5000 0.3532
Zn7 0.5000 0.2049 0.3975
Zn8 0.5000 0.8834 0.9926
Zn9 0.5000 0.6163 0.0028
Zn10 0.5000 0.7022 0.6038
Zn11 0.5000 0.1323 0.2367
Zn12 0.5000 0.2978 0.6038
Zn13 0.5000 0.7951 0.3975
Zn14 0.0000 0.0000 0.1213
Zn15 0.5000 0.6249 0.7702
B1 0.5000 0.5000 0.5320
B2 0.5000 0.1425 0.8199
B3 0.5000 0.6435 0.1773
B4 0.5000 0.8575 0.8199
B5 0.5000 0.0000 0.4681
B6 0.5000 0.3565 0.1773